Version a
Material: CaMn2O4
Method: DFT, PBE with a Hubbard U
State: relaxed

Cell and atoms, written as extended XYZ:
```
42
Lattice="6.2733 0.0000 0.0000 -3.0550 5.5429 0.0000 -0.2670 -0.2231 15.3377" Properties=species:S:1:pos:R:3 pbc="T T T"
Ca 4.7707 1.0041 0.6560
Ca -1.6265 4.4797 5.0545
Ca 1.5270 0.8613 2.5349
Ca 4.5731 0.8335 10.2700
Ca -1.6581 2.6636 7.6701
Ca 1.4166 4.4533 12.8196
Mn 3.1149 3.5993 2.4983
Mn 1.5180 2.7964 5.8322
Mn 1.6055 2.7646 0.0187
Mn 0.0399 3.6478 2.5195
Mn 3.0033 -0.1082 7.6607
Mn -1.6377 4.6305 10.9091
Mn -3.1863 5.4305 7.6637
Mn -0.1779 1.7126 12.8302
Mn 4.5938 0.6954 4.4387
Mn 2.9262 1.6878 12.8129
Mn 1.4340 2.5217 9.5095
Mn -1.8132 4.2706 14.7123
O 2.9330 2.0849 1.2417
O 1.5801 2.8946 3.6311
O 0.2352 2.1966 1.2379
O 1.7599 4.3211 1.1856
O -0.0642 3.8354 6.5546
O 4.4876 2.6553 3.5738
O -1.6241 4.6950 8.7902
O 0.0100 5.2083 3.6171
O 3.0804 3.8640 6.5350
O -1.5850 4.3351 1.4531
O 1.4369 0.7157 6.5724
O 3.0804 5.2379 3.5218
O -0.1361 0.0815 11.7902
O 1.5139 4.6042 8.7512
O -0.1249 1.4576 8.7949
O 2.9434 0.1219 11.7066
O 4.5285 1.0039 13.7765
O 4.5787 0.6346 6.5419
O -1.5078 2.6799 11.7093
O 3.0134 1.4907 8.7691
O 1.1685 0.9132 14.2180
O 2.7743 3.1648 14.1474
O 1.3815 2.4206 11.7491
O -0.0501 3.2650 14.1430
```

Results
symmetry	P1, No. 1

Version b
Material: CaMn2O4
Method: DFT, PBE with a Hubbard U
State: relaxed

Cell and atoms, written as extended XYZ:
```
28
Lattice="2.8282 5.4632 0.0000 -2.8282 5.4632 0.0000 0.0000 0.0956 11.7450" Properties=species:S:1:pos:R:3 pbc="T T T"
Ca -1.6372 5.5110 5.8725
Ca -1.2924 5.4632 0.0000
Ca 0.0599 8.1834 2.9192
Ca 0.0599 2.8386 8.8258
Mn 0.0413 5.1517 3.2052
Mn -0.0029 0.3019 2.7155
Mn 0.0413 5.8704 8.5398
Mn -0.0029 10.7201 9.0294
Mn 1.3659 3.0347 0.2275
Mn 1.3659 7.9873 11.5175
Mn 1.4145 3.0736 6.0619
Mn 1.4145 7.9484 5.6831
O -1.3385 6.4479 3.7686
O 1.4033 6.4741 3.8364
O -1.4424 6.5177 9.6287
O 1.4750 6.5873 9.6474
O -0.0881 7.2475 0.8306
O 0.0177 1.6866 0.8507
O -0.0777 7.1998 6.7194
O 0.0478 1.8562 6.7378
O 1.4750 4.4347 2.0975
O -1.4424 4.5044 2.1162
O 1.4033 4.5480 7.9085
O -1.3385 4.5741 7.9763
O -0.0777 3.8222 5.0256
O 0.0478 9.1658 5.0072
O -0.0881 3.7746 10.9143
O 0.0177 9.3354 10.8943
```

Results
symmetry	C2, No. 5

Version c
Material: CaMn2O4
Method: DFT, PBE with a Hubbard U
State: relaxed

Cell and atoms, written as extended XYZ:
```
14
Lattice="-4.6046 -3.4060 -2.8458 1.1896 -5.7083 -2.6272 -2.2458 -5.4079 2.5718" Properties=species:S:1:pos:R:3 pbc="T T T"
Ca -5.6018 -14.3707 -2.8710
Ca -2.1262 -5.4546 -1.0897
Mn -4.2968 -11.0230 -2.2022
Mn -3.2451 -8.1462 0.2199
Mn -1.5074 -8.2982 -2.4099
Mn -4.4383 -7.1336 -2.5204
O -1.4568 -7.5922 -0.5239
O -4.1138 -6.5365 -0.6241
O -2.5385 -6.6743 -3.0081
O -3.5354 -9.0695 -1.8119
O -0.7506 -1.9257 -0.3847
O -1.6898 -4.1808 0.7565
O -0.1924 -4.3118 -1.5094
O -2.7179 -3.3083 -1.6047
```

Results
symmetry	R3m, No. 160

Version d
Material: CaMn2O4
Method: DFT, PBE with a Hubbard U
State: relaxed

Cell and atoms, written as extended XYZ:
```
28
Lattice="3.1526 5.4594 -0.0005 2.9637 -1.7116 10.1472 6.3461 -0.0236 -0.1382" Properties=species:S:1:pos:R:3 pbc="T T T"
Ca 6.2245 0.0476 -0.0213
Ca 9.2829 1.9218 5.0542
Ca 4.6815 4.5764 3.1410
Ca 4.5892 0.9895 8.2126
Mn 6.2503 1.8344 3.1043
Mn 9.3091 3.7048 8.1682
Mn 6.3249 3.6271 0.5266
Mn 6.2349 0.0404 5.6032
Mn 7.8415 4.5916 3.1050
Mn 7.7506 1.0046 8.1685
Mn 6.3122 3.6353 6.1772
Mn 3.2501 1.7624 1.1138
O 7.8166 2.7613 1.5653
O 7.7197 -0.8185 6.6336
O 4.8096 0.8657 4.5893
O 7.8642 2.7412 9.6568
O 5.0239 2.7259 1.7922
O 4.9430 -0.8541 6.8636
O 6.4907 3.5327 4.0930
O 6.3961 -0.0534 9.1794
O 3.3041 -0.2553 1.7934
O 6.3636 1.6059 6.8639
O 9.2490 4.0197 4.3537
O 9.1548 0.4297 9.4217
O 6.0418 0.1511 2.1514
O 9.1031 2.0237 7.2222
O 7.4491 0.9005 4.3542
O 10.5109 2.7746 9.4232
```

Results
symmetry	P1, No. 1

Stability summary - winner: version b; margin: 7 meV/atom.

Version a
Material: CaMn7O12
Method: DFT, PBE with a Hubbard U
State: relaxed

Cell and atoms, written as extended XYZ:
```
40
Lattice="-0.0061 -7.6360 -0.0084 -0.0114 -0.0080 -7.4321 7.4361 0.0057 0.0107" Properties=species:S:1:pos:R:3 pbc="T T T"
Ca 0.0047 -7.6424 -7.4308
Ca 3.6824 -3.8246 -3.7269
Mn 3.7509 -7.6265 -3.7144
Mn 3.6764 -3.8079 -7.4236
Mn 0.0028 -3.8153 -3.7111
Mn 5.5646 -5.7340 -5.5736
Mn 1.8484 -5.7268 -1.8576
Mn 1.8476 -1.9168 -5.5754
Mn 5.5737 -1.9018 -1.8536
Mn 7.3646 -3.8214 0.0023
Mn 0.0262 -0.0170 -3.7244
Mn 3.7113 -0.0066 -0.0078
Mn 1.8538 -1.9160 -1.8543
Mn 5.5674 -1.9120 -5.5667
Mn 5.5706 -5.7224 -1.8568
Mn 1.8454 -5.7286 -5.5832
O 6.1215 -7.5143 -5.1316
O 2.3361 -3.9481 -1.3553
O 5.0164 -3.9359 -6.0237
O 1.3643 -7.5027 -2.3607
O 4.9795 -3.6911 -1.4345
O 1.3185 -0.1341 -5.1463
O 6.1677 -0.1277 -2.2697
O 2.3889 -3.6977 -5.9978
O 2.3046 -1.3492 -7.3265
O 6.0017 -5.1683 -3.7281
O 1.3935 -2.4803 -3.8178
O 5.1324 -6.2907 -7.4193
O 5.9872 -2.4663 -3.7025
O 2.2746 -6.3455 -0.1160
O 5.1658 -1.3472 0.0000
O 1.4268 -5.1117 -3.6084
O 7.4273 -5.3021 -1.3114
O 3.6969 -1.4655 -5.0154
O 3.7081 -6.1513 -2.4011
O 0.0035 -2.3557 -6.1295
O 3.8237 -1.3710 -2.3581
O 7.3152 -5.2335 -6.0993
O 7.3163 -2.4295 -1.3387
O 3.8101 -6.2286 -5.0477
```

Results
symmetry	P1, No. 1

Version b
Material: CaMn7O12
Method: DFT, PBE with a Hubbard U
State: relaxed

Cell and atoms, written as extended XYZ:
```
20
Lattice="0.5276 6.3649 -1.0044 -6.2583 -1.5244 0.9309 3.4537 -1.6454 5.2652" Properties=species:S:1:pos:R:3 pbc="T T T"
Ca 0.0000 0.0000 0.0000
Mn 1.9906 2.3598 2.1304
Mn -1.4023 -1.5849 3.0980
Mn -2.8654 2.4203 -0.0368
Mn 1.7269 -0.8227 2.6326
Mn -1.1385 1.5976 2.5958
Mn 0.3246 -2.4076 5.7306
Mn -5.9945 1.6581 0.4287
O -3.9890 -0.9541 2.3246
O -2.0831 3.2907 2.4765
O -2.3349 0.9010 1.0739
O 1.7120 4.1492 2.8670
O -0.1939 -0.0956 2.7151
O 0.0579 2.2941 4.1177
O -2.5168 0.8945 3.9346
O -0.9893 4.5502 0.1531
O -4.4848 2.7853 1.0011
O 0.2398 2.3006 1.2570
O -1.2877 -1.3551 5.0385
O 2.2078 0.4098 4.1906
```

Results
symmetry	R-3, No. 148

Stability summary - winner: version b; margin: 20 meV/atom.

Version a
Material: CaMn3O6
Method: DFT, PBE with a Hubbard U
State: relaxed

Cell and atoms, written as extended XYZ:
```
80
Lattice="-0.0750 11.2739 -1.8363 -2.1352 -1.3730 -8.3424 -10.3245 -0.6210 -3.3912" Properties=species:S:1:pos:R:3 pbc="T T T"
Ca -3.7902 0.9604 -5.7808
Ca -3.5697 6.7476 -5.7869
Ca -8.7444 8.3195 -7.7891
Ca -8.9649 2.5323 -7.7830
Ca -4.6801 0.4137 -9.0360
Ca -2.6796 7.2737 -2.5283
Ca -7.8545 8.8662 -4.5339
Ca -9.8550 2.0062 -11.0415
Mn -5.5848 3.4025 -6.0103
Mn -1.8073 9.1594 -6.3480
Mn -6.9497 5.8774 -7.5596
Mn -10.7273 0.1205 -7.2219
Mn -2.6718 8.7041 -9.1217
Mn -4.7203 3.8622 -3.2372
Mn -9.8627 0.5758 -4.4482
Mn -7.8143 5.4177 -10.3326
Mn -5.3923 9.2966 -7.0064
Mn -2.0033 3.7880 -5.4370
Mn -7.1423 -0.0167 -6.5635
Mn -10.5313 5.4919 -8.1329
Mn -2.8022 3.3072 -8.2204
Mn -4.5931 9.7343 -4.2159
Mn -9.7324 5.9727 -5.3494
Mn -7.9415 -0.4544 -9.3540
Mn -6.1790 3.1033 -8.8259
Mn -1.2152 9.7768 -3.5841
Mn -6.3556 6.1766 -4.7439
Mn -11.3193 -0.4969 -9.9858
Mn -6.0938 8.8244 -9.7972
Mn -1.3016 4.2350 -2.6421
Mn -6.4408 0.4555 -3.7727
Mn -11.2330 5.0449 -10.9278
O -3.5253 8.6313 -7.3241
O -3.8622 3.2338 -4.9207
O -9.0093 0.6485 -6.2458
O -8.6724 6.0460 -8.6492
O -4.7112 2.6100 -7.5868
O -2.6739 8.8969 -4.5996
O -7.8234 6.6699 -5.9831
O -9.8607 0.3830 -8.9703
O -2.6331 4.8927 -6.9345
O -4.7050 -0.4465 -4.1019
O -9.9014 4.3872 -6.6354
O -7.8296 9.7264 -9.4680
O -5.3614 -0.8832 -6.8649
O -1.9770 5.3638 -4.1771
O -7.1732 10.1631 -6.7050
O -10.5576 3.9161 -9.3928
O -1.9115 2.3764 -6.7369
O -5.4685 8.3694 -5.3256
O -10.6231 6.9035 -6.8330
O -7.0661 0.9105 -8.2443
O -6.2637 7.9517 -8.0775
O -1.1168 2.8639 -3.9963
O -6.2709 1.3282 -5.4924
O -11.4178 6.4160 -9.5735
O -5.4498 5.6214 -6.3483
O -1.8968 0.0950 -4.8950
O -7.0847 3.6585 -7.2216
O -10.6378 9.1849 -8.6749
O -2.6470 -0.2371 -7.6669
O -4.7012 6.1958 -3.6158
O -9.8876 9.5170 -5.9030
O -7.8333 3.0841 -9.9541
O -4.2376 8.1455 -10.1709
O -3.1497 3.6858 -2.0683
O -8.2970 1.1344 -3.3990
O -9.3849 5.5941 -11.5016
O -1.3499 5.6847 -1.3898
O -5.9867 -1.4715 -9.6086
O -11.1846 3.5952 -12.1800
O -6.5479 10.7514 -3.9613
O -0.5643 3.2267 -1.2155
O -6.8150 7.4061 -10.8286
O -11.9703 6.0532 -12.3544
O -5.7196 1.8738 -2.7413
O -6.2302 5.2052 -9.2361
O -1.1171 0.6268 -2.0260
O -6.3043 4.0747 -4.3338
O -11.4174 8.6531 -11.5439
```

Results
symmetry	P2_1/c, No. 14

Version b
Material: CaMn3O6
Method: DFT, PBE with a Hubbard U
State: relaxed

Cell and atoms, written as extended XYZ:
```
10
Lattice="1.4810 6.9855 0.0000 -1.4810 6.9855 0.0000 0.0000 0.1625 5.7268" Properties=species:S:1:pos:R:3 pbc="T T T"
Ca 0.0000 11.3096 5.2550
Mn 0.0000 0.2798 0.3201
Mn 0.0000 4.8093 2.4328
Mn 0.0000 9.0619 3.0709
O 0.0000 8.3549 5.1838
O 0.0000 5.8743 0.6981
O 0.0000 1.2271 2.1846
O 0.0000 12.6187 3.3482
O 0.0000 3.3467 3.8127
O 0.0000 10.7670 1.6772
```

Results
symmetry	Cm, No. 8

Stability summary - winner: version a; margin: 145 meV/atom.